Compound: MgB2H8
Source: the Materials Project
Functional: GGA-PBE
Structure: relaxed

Results
* total magnetic moment: 0.0 μB/f.u.
* final energy: -4.03 eV/atom
* symmetry: No. 142

Cell: 8.2531 8.2531 8.2531 Å, 124.13 124.13 82.99°
Element x y z (fractional)
Mg1 0.1250 0.3750 0.7500
Mg2 0.3750 0.1250 0.2500
Mg3 0.6250 0.8750 0.7500
Mg4 0.8750 0.6250 0.2500
B1 0.2171 0.2500 0.4671
B2 0.2500 0.2829 0.0329
B3 0.2500 0.7829 0.5329
B4 0.2829 0.7500 0.0329
B5 0.7171 0.2500 0.9671
B6 0.7500 0.2171 0.4671
B7 0.7500 0.7171 0.9671
B8 0.7829 0.7500 0.5329
H1 0.1085 0.6720 0.9407
H2 0.1173 0.3706 0.9998
H3 0.1175 0.1173 0.2467
H4 0.1294 0.3827 0.5002
H5 0.1292 0.8825 0.4998
H6 0.1678 0.1085 0.9365
H7 0.1720 0.6085 0.4407
H8 0.2312 0.1678 0.5593
H9 0.2688 0.8280 0.9365
H10 0.3280 0.7688 0.4365
H11 0.3322 0.2688 0.9407
H12 0.3706 0.8708 0.2533
H13 0.3708 0.8706 0.7533
H14 0.3825 0.6292 0.9998
H15 0.3827 0.3825 0.2533
H16 0.3915 0.3322 0.5635
H17 0.6085 0.6678 0.4365
H18 0.6173 0.6175 0.7467
H19 0.6175 0.3708 0.0002
H20 0.6292 0.1294 0.2467
H21 0.6294 0.1292 0.7467
H22 0.6678 0.7312 0.0593
H23 0.6720 0.2312 0.5635
H24 0.7312 0.1720 0.0635
H25 0.7688 0.8322 0.4407
H26 0.8280 0.3915 0.5593
H27 0.8322 0.8915 0.0635
H28 0.8708 0.1175 0.5002
H29 0.8706 0.6173 0.4998
H30 0.8825 0.8827 0.7533
H31 0.8827 0.6294 0.0002
H32 0.8915 0.3280 0.0593